Material: Y2Fe4Si9
Method: DFT, PBE
State: optimized geometry

Cell lengths 3.9396, 3.9396, 16.0915 Å; angles 90.00, 90.00, 120.00 degrees
Fractional coordinates of all 15 atoms:
1 Si 0.6667 0.3333 0.4357
2 Si 0.0000 0.0000 0.1260
3 Si 0.6667 0.3333 0.0429
4 Si 0.0000 0.0000 0.6493
5 Si 0.0000 0.0000 0.8740
6 Si 0.0000 0.0000 0.5000
7 Si 0.3333 0.6667 0.9571
8 Si 0.0000 0.0000 0.3507
9 Si 0.3333 0.6667 0.5643
10 Y 0.6667 0.3333 0.2417
11 Y 0.3333 0.6667 0.7583
12 Fe 0.6667 0.3333 0.5887
13 Fe 0.3333 0.6667 0.1009
14 Fe 0.3333 0.6667 0.4113
15 Fe 0.6667 0.3333 0.8991

Values from the calculation:
formation energy	-297	meV per atom
MP2020-corrected energy	-100.093	eV for the cell shown